Here is crystalline CrCoAs at its relaxed geometry from Materials Project. Energies are from PBE.

abc: 6.076 6.076 3.647
angles: 90.00 90.00 120.00
Fractional coordinates of all 9 atoms:
Cr 0.587 0.000 0.000
Cr 0.000 0.587 0.000
Cr 0.413 0.413 0.000
As 0.000 0.000 0.000
As 0.333 0.667 0.500
As 0.667 0.333 0.500
Co 0.000 0.247 0.500
Co 0.247 0.000 0.500
Co 0.753 0.753 0.500

Calculated values
ρ (Mg/m³): 7.94
Calculated volume (Å³/atom): 13.0
Uncorrected energy (eV/atom): -7.31
Formation enthalpy at 0 K (kJ/mol of atoms): -16
Total magnetization (Bohr magnetons per cell): 9.50

Here is crystalline TmNiSn at its relaxed geometry from Materials Project. Energies are from PBE.

abc: 4.408 7.022 7.637
angles: 90.00 90.00 90.00
Fractional coordinates of all 12 atoms:
Tm 0.250 0.987 0.297
Tm 0.750 0.513 0.797
Tm 0.750 0.013 0.703
Tm 0.250 0.487 0.203
Sn 0.750 0.693 0.414
Sn 0.250 0.307 0.586
Sn 0.750 0.193 0.086
Sn 0.250 0.807 0.914
Ni 0.750 0.304 0.413
Ni 0.250 0.196 0.913
Ni 0.250 0.696 0.587
Ni 0.750 0.804 0.087

Calculated values
ρ (Mg/m³): 9.73
Calculated volume (Å³/atom): 19.7
Uncorrected energy (eV/atom): -5.42
Formation enthalpy at 0 K (kJ/mol of atoms): -64

Here is crystalline CaBO3 at its relaxed geometry from Materials Project. Energies are from PBE.

abc: 5.479 3.673 6.635
angles: 86.50 90.00 90.00
Fractional coordinates of all 10 atoms:
O 0.532 0.765 0.822
O 0.968 0.765 0.822
O 0.250 0.353 0.473
O 0.032 0.235 0.178
O 0.468 0.235 0.178
O 0.750 0.647 0.527
Ca 0.250 0.260 0.825
Ca 0.750 0.740 0.175
B 0.250 0.267 0.277
B 0.750 0.733 0.723

Calculated values
ρ (Mg/m³): 2.46
Calculated volume (Å³/atom): 13.3
Uncorrected energy (eV/atom): -7.11
Formation enthalpy at 0 K (kJ/mol of atoms): -272
Total magnetization (Bohr magnetons per cell): 2.00

Here is crystalline BaLa7Mg5Nb3O24 at its relaxed geometry from Materials Project. Energies are from PBE.

abc: 5.718 9.874 9.911
angles: 99.72 89.96 106.77
Fractional coordinates of all 40 atoms:
O 0.659 0.881 0.619
O 0.508 0.858 0.313
O 0.345 0.115 0.962
O 0.998 0.856 0.818
O 0.240 0.345 0.569
O 0.901 0.372 0.367
O 0.841 0.115 0.890
O 0.329 0.110 0.379
O 0.549 0.605 0.137
O 0.990 0.144 0.183
O 0.402 0.370 0.289
O 0.858 0.107 0.460
O 0.795 0.660 0.427
O 0.410 0.390 0.862
O 0.502 0.149 0.675
O 0.071 0.627 0.190
O 0.761 0.361 0.073
O 0.147 0.896 0.548
O 0.079 0.621 0.649
O 0.168 0.891 0.116
O 0.257 0.656 0.928
O 0.649 0.883 0.038
O 0.599 0.603 0.695
O 0.904 0.395 0.796
Nb 0.369 0.753 0.121
Nb 0.880 0.748 0.630
Nb 0.120 0.247 0.375
Mg 0.748 0.500 0.250
Mg 0.625 0.251 0.876
Mg 0.250 0.503 0.752
Mg 0.997 0.999 0.001
Mg 0.501 0.001 0.501
La 0.681 0.366 0.587
La 0.800 0.594 0.937
La 0.176 0.364 0.051
La 0.563 0.142 0.174
La 0.070 0.127 0.694
La 0.454 0.905 0.825
La 0.944 0.879 0.323
Ba 0.316 0.624 0.432

Calculated values
ρ (Mg/m³): 5.96
Calculated volume (Å³/atom): 13.2
Uncorrected energy (eV/atom): -7.90
Formation enthalpy at 0 K (kJ/mol of atoms): -335
Total magnetization (Bohr magnetons per cell): 0.00